Record 1
VASP calculation (PBE with a Hubbard U) on a relaxed NiF3 crystal.

Unit cell a=5.209 b=5.209 c=5.209 alpha=55.97 beta=55.97 gamma=55.97
Element x y z (fractional)
Ni 0.000 0.000 0.000
Ni 0.500 0.500 0.500
F 0.098 0.769 0.372
F 0.231 0.628 0.902
F 0.372 0.098 0.769
F 0.628 0.902 0.231
F 0.769 0.372 0.098
F 0.902 0.231 0.628

Output
Calculated density: 4.2 g cm⁻³
Formation enthalpy at 0 K: -1.748 eV per atom
Crystal system: trigonal

---

Record 2
VASP calculation (PBE with a Hubbard U) on a relaxed V3O5F crystal.

Unit cell a=4.664 b=5.537 c=7.553 alpha=84.77 beta=88.38 gamma=88.71
Element x y z (fractional)
V 0.000 0.000 0.000
V 0.004 0.345 0.670
V 0.454 0.818 0.650
V 0.476 0.175 0.315
V 0.480 0.486 0.004
V 0.974 0.674 0.327
O 0.171 0.371 0.439
O 0.178 0.683 0.109
O 0.197 0.032 0.755
O 0.280 0.185 0.102
O 0.282 0.875 0.426
O 0.287 0.538 0.766
O 0.681 0.456 0.241
O 0.774 0.961 0.235
O 0.779 0.643 0.567
O 0.791 0.302 0.882
F 0.676 0.133 0.559
F 0.679 0.800 0.896

Output
Calculated density: 4.3 g cm⁻³
Distance to the lowest polymorph of the same formula: 26 meV/atom
Formation enthalpy at 0 K: -2.579 eV per atom
Crystal system: triclinic
M_tot: 4.000 μB per formula unit

---

Record 3
VASP calculation (PBE with a Hubbard U) on a relaxed V2NiO8 crystal.

Unit cell a=5.574 b=10.928 c=11.752 alpha=90.00 beta=90.00 gamma=90.00
Element x y z (fractional)
V 0.198 0.034 0.172
V 0.198 0.466 0.172
V 0.302 0.534 0.672
V 0.302 0.966 0.672
V 0.698 0.034 0.328
V 0.698 0.466 0.328
V 0.802 0.534 0.828
V 0.802 0.966 0.828
Ni 0.018 0.750 0.045
Ni 0.482 0.250 0.545
Ni 0.518 0.750 0.455
Ni 0.982 0.250 0.955
O 0.006 0.070 0.290
O 0.006 0.430 0.290
O 0.115 0.117 0.059
O 0.115 0.383 0.059
O 0.171 0.618 0.144
O 0.171 0.882 0.144
O 0.178 0.250 0.466
O 0.225 0.750 0.378
O 0.275 0.250 0.878
O 0.322 0.750 0.966
O 0.329 0.118 0.644
O 0.329 0.382 0.644
O 0.385 0.617 0.559
O 0.385 0.883 0.559
O 0.494 0.570 0.790
O 0.494 0.930 0.790
O 0.506 0.070 0.210
O 0.506 0.430 0.210
O 0.615 0.117 0.441
O 0.615 0.383 0.441
O 0.671 0.618 0.356
O 0.671 0.882 0.356
O 0.678 0.250 0.034
O 0.725 0.750 0.122
O 0.775 0.250 0.622
O 0.822 0.750 0.534
O 0.829 0.118 0.856
O 0.829 0.382 0.856
O 0.885 0.617 0.941
O 0.885 0.883 0.941
O 0.994 0.570 0.710
O 0.994 0.930 0.710

Output
Calculated density: 2.7 g cm⁻³
Formation enthalpy at 0 K: -1.363 eV per atom
Crystal system: orthorhombic
M_tot: 4.000 μB per formula unit

---

Record 4
VASP calculation (PBE with a Hubbard U) on a relaxed Ba2TbMoO6 crystal.

Unit cell a=6.032 b=6.032 c=6.032 alpha=60.00 beta=60.00 gamma=60.00
Element x y z (fractional)
Ba 0.250 0.250 0.250
Ba 0.750 0.750 0.750
Tb 0.000 0.000 0.000
Mo 0.500 0.500 0.500
O 0.265 0.265 0.735
O 0.265 0.735 0.265
O 0.265 0.735 0.735
O 0.735 0.265 0.265
O 0.735 0.265 0.735
O 0.735 0.735 0.265

Output
Calculated density: 6.7 g cm⁻³
Formation enthalpy at 0 K: -3.027 eV per atom
Crystal system: cubic
M_tot: 1.000 μB per formula unit

---

Record 5
VASP calculation (PBE with a Hubbard U) on a relaxed Na5CrO4 crystal.

Unit cell a=5.379 b=10.549 c=10.540 alpha=92.76 beta=90.00 gamma=90.00
Element x y z (fractional)
O 0.401 0.362 0.112
O 0.963 0.636 0.114
O 0.401 0.638 0.388
O 0.599 0.362 0.612
O 0.963 0.864 0.886
O 0.037 0.864 0.386
O 0.963 0.364 0.386
O 0.963 0.136 0.614
O 0.037 0.364 0.886
O 0.401 0.138 0.888
O 0.599 0.862 0.112
O 0.599 0.638 0.888
O 0.401 0.862 0.612
O 0.037 0.636 0.614
O 0.599 0.138 0.388
O 0.037 0.136 0.114
Na 0.257 0.034 0.477
Na 0.819 0.000 0.250
Na 0.257 0.273 0.716
Na 0.257 0.727 0.784
Na 0.819 0.500 0.750
Na 0.181 0.000 0.750
Na 0.743 0.727 0.284
Na 0.257 0.466 0.523
Na 0.257 0.773 0.216
Na 0.257 0.966 0.023
Na 0.743 0.466 0.023
Na 0.257 0.227 0.284
Na 0.743 0.034 0.977
Na 0.743 0.227 0.784
Na 0.743 0.966 0.523
Na 0.743 0.773 0.716
Na 0.257 0.534 0.977
Na 0.181 0.500 0.250
Na 0.743 0.534 0.477
Na 0.743 0.273 0.216
Cr 0.217 0.750 0.500
Cr 0.784 0.750 0.000
Cr 0.783 0.250 0.500
Cr 0.217 0.250 0.000

Output
Calculated density: 2.6 g cm⁻³
Distance to the lowest polymorph of the same formula: 7 meV/atom
Formation enthalpy at 0 K: -1.673 eV per atom
M_tot: 0.000 μB per formula unit

---

Record 6
VASP calculation (PBE with a Hubbard U) on a relaxed La7Cr2BO17 crystal.

Unit cell a=7.083 b=18.312 c=13.880 alpha=90.00 beta=112.92 gamma=90.00
Element x y z (fractional)
La 0.186 0.155 0.426
La 0.186 0.345 0.926
La 0.200 0.224 0.179
La 0.200 0.276 0.679
La 0.203 0.019 0.211
La 0.203 0.481 0.711
La 0.220 0.130 0.937
La 0.220 0.370 0.437
La 0.289 0.553 0.014
La 0.289 0.727 0.596
La 0.289 0.773 0.096
La 0.289 0.947 0.514
La 0.306 0.608 0.303
La 0.306 0.892 0.803
La 0.694 0.108 0.197
La 0.694 0.392 0.697
La 0.711 0.053 0.486
La 0.711 0.227 0.904
La 0.711 0.273 0.404
La 0.711 0.447 0.986
La 0.780 0.630 0.563
La 0.780 0.870 0.063
La 0.797 0.519 0.289
La 0.797 0.981 0.789
La 0.800 0.724 0.321
La 0.800 0.776 0.821
La 0.814 0.655 0.074
La 0.814 0.845 0.574
Cr 0.220 0.064 0.683
Cr 0.220 0.436 0.183
Cr 0.289 0.697 0.835
Cr 0.289 0.803 0.335
Cr 0.711 0.197 0.665
Cr 0.711 0.303 0.165
Cr 0.780 0.564 0.817
Cr 0.780 0.936 0.317
B 0.251 0.570 0.501
B 0.251 0.930 0.001
B 0.749 0.070 0.999
B 0.749 0.430 0.499
O 0.013 0.031 0.704
O 0.013 0.469 0.204
O 0.050 0.132 0.242
O 0.050 0.368 0.742
O 0.100 0.231 0.992
O 0.100 0.269 0.492
O 0.109 0.673 0.717
O 0.109 0.827 0.217
O 0.132 0.063 0.547
O 0.132 0.437 0.047
O 0.162 0.580 0.573
O 0.162 0.920 0.073
O 0.166 0.737 0.908
O 0.166 0.763 0.408
O 0.194 0.517 0.422
O 0.194 0.983 0.922
O 0.203 0.645 0.120
O 0.203 0.855 0.620
O 0.293 0.143 0.749
O 0.293 0.357 0.249
O 0.320 0.110 0.125
O 0.320 0.390 0.625
O 0.365 0.043 0.405
O 0.365 0.457 0.905
O 0.370 0.240 0.373
O 0.370 0.260 0.873
O 0.402 0.621 0.502
O 0.402 0.879 0.002
O 0.413 0.502 0.224
O 0.413 0.998 0.724
O 0.433 0.739 0.299
O 0.433 0.761 0.799
O 0.441 0.630 0.912
O 0.441 0.870 0.412
O 0.559 0.130 0.588
O 0.559 0.370 0.088
O 0.567 0.239 0.201
O 0.567 0.261 0.701
O 0.587 0.002 0.276
O 0.587 0.498 0.776
O 0.598 0.121 0.998
O 0.598 0.379 0.498
O 0.630 0.740 0.127
O 0.630 0.760 0.627
O 0.635 0.543 0.095
O 0.635 0.957 0.595
O 0.680 0.610 0.375
O 0.680 0.890 0.875
O 0.707 0.643 0.751
O 0.707 0.857 0.251
O 0.797 0.145 0.380
O 0.797 0.355 0.880
O 0.806 0.017 0.078
O 0.806 0.483 0.578
O 0.834 0.237 0.592
O 0.834 0.263 0.092
O 0.838 0.080 0.927
O 0.838 0.420 0.427
O 0.868 0.563 0.953
O 0.868 0.937 0.453
O 0.891 0.173 0.783
O 0.891 0.327 0.283
O 0.900 0.731 0.508
O 0.900 0.769 0.008
O 0.950 0.632 0.258
O 0.950 0.868 0.758
O 0.987 0.531 0.796
O 0.987 0.969 0.296

Output
Calculated density: 5.4 g cm⁻³
Formation enthalpy at 0 K: -3.329 eV per atom
Crystal system: monoclinic
M_tot: 0.072 μB per formula unit

---

Record 7
VASP calculation (PBE with a Hubbard U) on a relaxed Li5Mn3O8 crystal.

Unit cell a=5.826 b=5.826 c=10.143 alpha=105.84 beta=105.84 gamma=60.83
Element x y z (fractional)
Li 0.000 0.500 0.500
Li 0.227 0.270 0.742
Li 0.240 0.760 0.750
Li 0.254 0.746 0.250
Li 0.270 0.227 0.242
Li 0.500 0.000 0.000
Li 0.730 0.773 0.758
Li 0.746 0.254 0.750
Li 0.760 0.240 0.250
Li 0.773 0.730 0.258
Mn 0.000 0.000 0.000
Mn 0.000 0.000 0.500
Mn 0.000 0.500 0.000
Mn 0.500 0.000 0.500
Mn 0.500 0.500 0.000
Mn 0.500 0.500 0.500
O 0.092 0.648 0.881
O 0.110 0.143 0.889
O 0.137 0.645 0.392
O 0.143 0.110 0.389
O 0.352 0.908 0.619
O 0.355 0.389 0.110
O 0.355 0.863 0.108
O 0.389 0.355 0.610
O 0.611 0.645 0.390
O 0.645 0.137 0.892
O 0.645 0.611 0.890
O 0.648 0.092 0.381
O 0.857 0.890 0.611
O 0.863 0.355 0.608
O 0.890 0.857 0.111
O 0.908 0.352 0.119

Output
Calculated density: 3.8 g cm⁻³
Distance to the lowest polymorph of the same formula: 14 meV/atom
Formation enthalpy at 0 K: -2.136 eV per atom
Crystal system: monoclinic
M_tot: 10.000 μB per formula unit

---

Record 8
VASP calculation (PBE with a Hubbard U) on a relaxed Fe4As5O13 crystal.

Unit cell a=9.131 b=9.289 c=9.320 alpha=94.15 beta=115.98 gamma=112.48
Element x y z (fractional)
Fe 0.000 0.000 0.000
Fe 0.000 0.000 0.500
Fe 0.262 0.197 0.379
Fe 0.353 0.384 0.803
Fe 0.469 0.221 0.106
Fe 0.531 0.779 0.894
Fe 0.647 0.616 0.197
Fe 0.738 0.803 0.621
As 0.099 0.795 0.302
As 0.159 0.837 0.833
As 0.212 0.431 0.095
As 0.302 0.551 0.541
As 0.467 0.092 0.737
As 0.533 0.908 0.263
As 0.698 0.449 0.459
As 0.788 0.569 0.905
As 0.841 0.163 0.167
As 0.901 0.205 0.698
O 0.007 0.149 0.355
O 0.018 0.371 0.889
O 0.096 0.206 0.686
O 0.137 0.238 0.146
O 0.140 0.968 0.221
O 0.218 0.021 0.972
O 0.261 0.062 0.549
O 0.290 0.562 0.732
O 0.366 0.915 0.802
O 0.374 0.411 0.038
O 0.378 0.393 0.582
O 0.476 0.243 0.876
O 0.484 0.264 0.363
O 0.516 0.736 0.637
O 0.524 0.757 0.124
O 0.622 0.607 0.418
O 0.626 0.589 0.962
O 0.634 0.085 0.198
O 0.710 0.438 0.268
O 0.739 0.938 0.451
O 0.782 0.979 0.028
O 0.860 0.032 0.779
O 0.863 0.762 0.854
O 0.904 0.794 0.314
O 0.982 0.629 0.111
O 0.993 0.851 0.645

Output
Calculated density: 4.3 g cm⁻³
Distance to the lowest polymorph of the same formula: 0 meV/atom
Formation enthalpy at 0 K: -1.657 eV per atom
Crystal system: triclinic

---

Record 9
VASP calculation (PBE with a Hubbard U) on a relaxed Sr7CaTi5Mn3O24 crystal.

Unit cell a=7.848 b=7.848 c=7.794 alpha=90.01 beta=90.01 gamma=90.01
Element x y z (fractional)
Sr 0.000 0.000 0.000
Sr 0.000 0.000 0.491
Sr 0.000 0.497 0.000
Sr 0.000 0.497 0.491
Sr 0.497 0.000 0.000
Sr 0.497 0.000 0.491
Sr 0.497 0.497 0.490
Ca 0.496 0.496 0.001
Ti 0.249 0.249 0.746
Ti 0.249 0.748 0.746
Ti 0.747 0.747 0.244
Ti 0.748 0.249 0.746
Ti 0.748 0.748 0.746
Mn 0.249 0.249 0.245
Mn 0.249 0.748 0.245
Mn 0.748 0.249 0.245
O 0.001 0.748 0.245
O 0.249 0.249 0.493
O 0.249 0.748 0.493
O 0.249 0.997 0.245
O 0.249 0.998 0.746
O 0.250 0.498 0.747
O 0.250 0.746 0.998
O 0.251 0.251 0.998
O 0.251 0.499 0.242
O 0.496 0.746 0.243
O 0.498 0.250 0.747
O 0.498 0.746 0.747
O 0.499 0.251 0.242
O 0.746 0.250 0.998
O 0.746 0.496 0.243
O 0.746 0.498 0.747
O 0.747 0.747 0.996
O 0.748 0.001 0.245
O 0.748 0.249 0.493
O 0.748 0.748 0.495
O 0.748 0.998 0.746
O 0.997 0.249 0.245
O 0.998 0.249 0.746
O 0.998 0.748 0.746

Output
Calculated density: 5.0 g cm⁻³
Formation enthalpy at 0 K: -3.143 eV per atom
Crystal system: monoclinic
M_tot: 9.210 μB per formula unit

---

Record 10
VASP calculation (PBE with a Hubbard U) on a relaxed RbFeS2O8 crystal.

Unit cell a=4.916 b=4.916 c=8.590 alpha=90.00 beta=90.00 gamma=120.00
Element x y z (fractional)
Rb 0.000 0.000 0.000
Fe 0.000 0.000 0.500
S 0.333 0.667 0.704
S 0.667 0.333 0.296
O 0.090 0.350 0.647
O 0.260 0.910 0.647
O 0.333 0.667 0.875
O 0.350 0.090 0.353
O 0.650 0.740 0.647
O 0.667 0.333 0.125
O 0.740 0.650 0.353
O 0.910 0.260 0.353

Output
Calculated density: 3.1 g cm⁻³
Formation enthalpy at 0 K: -1.958 eV per atom
Crystal system: trigonal
M_tot: 5.000 μB per formula unit